(1)
Crystalline MgMn2S4 at its relaxed geometry, computed with GGA-PBE.

## Properties
Calculated formation energy: -100 kJ per mole of atoms
SG: No. 141
Uncorrected energy: -5.96 eV per atom

a b c (Å): 7.3746 7.3746 7.3746
angles (deg): 121.83 121.83 86.86
Last column: nearest neighbours and their distance in Å.
Fractional positions:
S (0.1173, 0.8889, 0.2284)  3 Mn 2.43-2.53, 1 Mg 2.45
S (0.1111, 0.3396, 0.2284)  3 Mn 2.43-2.53, 1 Mg 2.45
S (0.0896, 0.3611, 0.7284)  3 Mn 2.43-2.53, 1 Mg 2.45
S (0.6604, 0.8889, 0.7716)  3 Mn 2.43-2.53, 1 Mg 2.45
S (0.1111, 0.8827, 0.7716)  3 Mn 2.43-2.53, 1 Mg 2.45
S (0.6389, 0.3673, 0.7284)  3 Mn 2.43-2.53, 1 Mg 2.45
S (0.6389, 0.9104, 0.2716)  3 Mn 2.43-2.53, 1 Mg 2.45
S (0.6327, 0.3611, 0.2716)  3 Mn 2.43-2.53, 1 Mg 2.45
Mg (0.5000, 0.5000, 0.0000)  4 S 2.45
Mg (0.2500, 0.7500, 0.5000)  4 S 2.45
Mn (0.8750, 0.6250, 0.7500)  6 S 2.43-2.53
Mn (0.3750, 0.1250, 0.2500)  6 S 2.43-2.53
Mn (0.8750, 0.1250, 0.7500)  6 S 2.43-2.53
Mn (0.8750, 0.1250, 0.2500)  6 S 2.43-2.53

(2)
Crystalline CsTmI3 at its relaxed geometry, computed with GGA-PBE.

## Properties
Calculated formation energy: -137 kJ per mole of atoms
SG: No. 62
Uncorrected energy: -3.18 eV per atom

a b c (Å): 8.3272 8.7022 12.1453
angles (deg): 90.00 90.00 90.00
Last column: nearest neighbours and their distance in Å.
Fractional positions:
Cs (0.0295, 0.4340, 0.2500)  8 I 3.87-4.13
Cs (0.9705, 0.5661, 0.7500)  8 I 3.87-4.13
Cs (0.5295, 0.0660, 0.7500)  8 I 3.87-4.13
Cs (0.4705, 0.9340, 0.2500)  8 I 3.87-4.13
Tm (0.0000, 0.0000, 0.5000)  6 I 3.05-3.08
Tm (0.5000, 0.5000, 0.0000)  6 I 3.05-3.08
Tm (0.5000, 0.5000, 0.5000)  6 I 3.05-3.08
Tm (0.0000, 0.0000, 0.0000)  6 I 3.05-3.08
I (0.2144, 0.7173, 0.4746)  2 Tm 3.05-3.06
I (0.7144, 0.7827, 0.5254)  2 Tm 3.05-3.06
I (0.2144, 0.7173, 0.0254)  2 Tm 3.05-3.06
I (0.9400, 0.9981, 0.2500)  2 Tm 3.08
I (0.4400, 0.5019, 0.7500)  2 Tm 3.08
I (0.0600, 0.0019, 0.7500)  2 Tm 3.08
I (0.7856, 0.2827, 0.5254)  2 Tm 3.05-3.06
I (0.2856, 0.2173, 0.0254)  2 Tm 3.05-3.06
I (0.7144, 0.7827, 0.9746)  2 Tm 3.05-3.06
I (0.2856, 0.2173, 0.4746)  2 Tm 3.05-3.06
I (0.7856, 0.2827, 0.9746)  2 Tm 3.05-3.06
I (0.5600, 0.4981, 0.2500)  2 Tm 3.08

(3)
Crystalline LaMn4Al8 at its relaxed geometry, computed with GGA-PBE.

## Properties
Calculated formation energy: -30 kJ per mole of atoms
SG: No. 139
Uncorrected energy: -5.82 eV per atom

a b c (Å): 5.2050 6.8249 6.8249
angles (deg): 81.64 67.58 67.58
Last column: nearest neighbours and their distance in Å.
Fractional positions:
Al (0.2707, 0.2293, 0.2293)  4 Mn 2.59, 6 Al 2.79-2.89
Al (0.0000, 0.3418, 0.6582)  4 Mn 2.71, 5 Al 2.79-2.82
Al (0.5000, 0.2293, 0.7707)  4 Mn 2.59, 6 Al 2.79-2.89
Al (0.5000, 0.7707, 0.2293)  4 Mn 2.59, 6 Al 2.79-2.89
Al (0.6582, 0.3418, 0.3418)  4 Mn 2.71, 5 Al 2.79-2.82
Al (0.0000, 0.6582, 0.3418)  4 Mn 2.71, 5 Al 2.79-2.82
Al (0.7293, 0.7707, 0.7707)  4 Mn 2.59, 6 Al 2.79-2.89
Al (0.3418, 0.6582, 0.6582)  4 Mn 2.71, 5 Al 2.79-2.82
Mn (0.5000, 0.5000, 0.0000)  8 Al 2.59-2.71, 2 Mn 2.60
Mn (0.5000, 0.0000, 0.5000)  8 Al 2.59-2.71, 2 Mn 2.60
Mn (0.0000, 0.5000, 0.0000)  8 Al 2.59-2.71, 2 Mn 2.60
Mn (0.0000, 0.0000, 0.5000)  8 Al 2.59-2.71, 2 Mn 2.60
La (0.0000, 0.0000, 0.0000)  12 Al 3.05-3.31, 8 Mn 3.41